Entry 1:
First-principles (r²SCAN) data for Li2SbAu after structural relaxation, as listed in Materials Project.

abc: 4.629 4.629 4.629
angles: 60.00 60.00 60.00
Fractional positions:
Li (0.000, 0.000, 0.000)
Li (0.250, 0.250, 0.250)
Sb (0.500, 0.500, 0.500)
Au (0.750, 0.750, 0.750)

Calculated values
Energy of formation: -2.4 eV per formula unit

---

Entry 2:
First-principles (r²SCAN) data for LaAl2Si2 after structural relaxation, as listed in Materials Project.

abc: 4.221 4.221 7.050
angles: 90.00 90.00 120.00
Fractional positions:
La (0.000, 0.000, 0.000)
Al (0.333, 0.667, 0.635)
Al (0.667, 0.333, 0.365)
Si (0.333, 0.667, 0.275)
Si (0.667, 0.333, 0.725)

Calculated values
Energy of formation: -2.3 eV per formula unit

---

Entry 3:
First-principles (r²SCAN) data for Hg after structural relaxation, as listed in Materials Project.

abc: 3.303 3.303 3.303
angles: 111.47 111.47 105.55
Fractional positions:
Hg (0.000, 0.000, 0.000)

Calculated values
Energy above the lowest structure with this stoichiometry: 0.004 eV per atom
Energy of formation: 0.0 eV per formula unit

---

Entry 4:
First-principles (r²SCAN) data for HoPaO4 after structural relaxation, as listed in Materials Project.

abc: 3.781 3.781 5.340
angles: 90.00 90.00 90.00
Fractional positions:
Ho (0.000, 0.000, 0.000)
Pa (0.500, 0.500, 0.500)
O (0.000, 0.500, 0.258)
O (0.000, 0.500, 0.742)
O (0.500, 0.000, 0.258)
O (0.500, 0.000, 0.742)

Calculated values
Energy of formation: -24.5 eV per formula unit

---

Entry 5:
First-principles (r²SCAN) data for Tm4Co3 after structural relaxation, as listed in Materials Project.

abc: 11.007 11.007 4.011
angles: 90.00 90.00 120.00
Fractional positions:
Tm (0.026, 0.248, 0.250)
Tm (0.134, 0.620, 0.251)
Tm (0.223, 0.974, 0.250)
Tm (0.248, 0.223, 0.750)
Tm (0.380, 0.514, 0.251)
Tm (0.486, 0.866, 0.251)
Tm (0.514, 0.134, 0.749)
Tm (0.620, 0.486, 0.749)
Tm (0.752, 0.777, 0.250)
Tm (0.777, 0.026, 0.750)
Tm (0.866, 0.380, 0.749)
Tm (0.974, 0.752, 0.750)
Co (0.000, 0.000, 0.500)
Co (0.157, 0.440, 0.749)
Co (0.284, 0.843, 0.749)
Co (0.333, 0.667, 0.750)
Co (0.440, 0.284, 0.251)
Co (0.560, 0.716, 0.749)
Co (0.667, 0.333, 0.250)
Co (0.716, 0.157, 0.251)
Co (0.843, 0.560, 0.251)

Calculated values
Energy of formation: -0.7 eV per formula unit

---

Entry 6:
First-principles (r²SCAN) data for ZrCr2 after structural relaxation, as listed in Materials Project.

abc: 5.027 5.027 5.027
angles: 60.00 60.00 60.00
Fractional positions:
Zr (0.125, 0.125, 0.125)
Zr (0.875, 0.875, 0.875)
Cr (0.000, 0.500, 0.500)
Cr (0.500, 0.000, 0.500)
Cr (0.500, 0.500, 0.000)
Cr (0.500, 0.500, 0.500)

Calculated values
Energy of formation: 0.5 eV per formula unit

---

Entry 7:
First-principles (r²SCAN) data for SiO2 after structural relaxation, as listed in Materials Project.

abc: 13.074 13.074 4.993
angles: 90.00 90.00 90.00
Fractional positions:
Si (0.000, 0.000, 0.000)
Si (0.049, 0.785, 0.768)
Si (0.116, 0.482, 0.223)
Si (0.148, 0.348, 0.744)
Si (0.167, 0.711, 0.266)
Si (0.215, 0.049, 0.232)
Si (0.289, 0.167, 0.734)
Si (0.348, 0.852, 0.256)
Si (0.482, 0.884, 0.777)
Si (0.518, 0.116, 0.777)
Si (0.652, 0.148, 0.256)
Si (0.711, 0.833, 0.734)
Si (0.785, 0.951, 0.232)
Si (0.833, 0.289, 0.266)
Si (0.852, 0.652, 0.744)
Si (0.884, 0.518, 0.223)
Si (0.951, 0.215, 0.768)
O (0.000, 0.500, 0.118)
O (0.034, 0.906, 0.810)
O (0.056, 0.273, 0.835)
O (0.084, 0.763, 0.462)
O (0.094, 0.034, 0.190)
O (0.112, 0.412, 0.487)
O (0.138, 0.742, 0.962)
O (0.169, 0.589, 0.298)
O (0.177, 0.424, 0.987)
O (0.237, 0.084, 0.538)
O (0.247, 0.281, 0.667)
O (0.258, 0.138, 0.038)
O (0.273, 0.944, 0.165)
O (0.281, 0.753, 0.333)
O (0.411, 0.169, 0.702)
O (0.412, 0.888, 0.513)
O (0.424, 0.823, 0.013)
O (0.500, 0.000, 0.882)
O (0.576, 0.177, 0.013)
O (0.588, 0.112, 0.513)
O (0.589, 0.831, 0.702)
O (0.719, 0.247, 0.333)
O (0.727, 0.056, 0.165)
O (0.742, 0.862, 0.038)
O (0.753, 0.719, 0.667)
O (0.763, 0.916, 0.538)
O (0.823, 0.576, 0.987)
O (0.831, 0.411, 0.298)
O (0.862, 0.258, 0.962)
O (0.888, 0.588, 0.487)
O (0.906, 0.966, 0.190)
O (0.916, 0.237, 0.462)
O (0.944, 0.727, 0.835)
O (0.966, 0.094, 0.810)

Calculated values
Energy of formation: -9.1 eV per formula unit

---

Entry 8:
First-principles (r²SCAN) data for Dy2P7Rh12 after structural relaxation, as listed in Materials Project.

abc: 9.520 9.520 3.857
angles: 90.00 90.00 120.00
Fractional positions:
Dy (0.333, 0.667, 0.250)
Dy (0.667, 0.333, 0.750)
P (0.000, 0.000, 0.000)
P (0.120, 0.406, 0.744)
P (0.286, 0.880, 0.744)
P (0.406, 0.286, 0.256)
P (0.594, 0.714, 0.744)
P (0.714, 0.120, 0.256)
P (0.880, 0.594, 0.256)
Rh (0.068, 0.618, 0.750)
Rh (0.109, 0.848, 0.250)
Rh (0.152, 0.261, 0.250)
Rh (0.261, 0.109, 0.750)
Rh (0.382, 0.450, 0.750)
Rh (0.450, 0.068, 0.250)
Rh (0.550, 0.932, 0.750)
Rh (0.618, 0.550, 0.250)
Rh (0.739, 0.891, 0.250)
Rh (0.848, 0.739, 0.750)
Rh (0.891, 0.152, 0.750)
Rh (0.932, 0.382, 0.250)

Calculated values
Energy of formation: -21.2 eV per formula unit

---

Entry 9:
First-principles (r²SCAN) data for HfGeRu after structural relaxation, as listed in Materials Project.

abc: 6.704 6.704 3.733
angles: 90.00 90.00 120.00
Fractional positions:
Hf (0.000, 0.416, 0.000)
Hf (0.416, 0.000, 0.000)
Hf (0.584, 0.584, 0.000)
Ge (0.000, 0.000, 0.000)
Ge (0.333, 0.667, 0.500)
Ge (0.667, 0.333, 0.500)
Ru (0.000, 0.754, 0.500)
Ru (0.246, 0.246, 0.500)
Ru (0.754, 0.000, 0.500)

Calculated values
Energy of formation: -2.4 eV per formula unit

---

Entry 10:
First-principles (r²SCAN) data for NaSrPH18SO12 after structural relaxation, as listed in Materials Project.

abc: 10.803 10.803 10.803
angles: 90.00 90.00 90.00
Fractional positions:
Na (0.062, 0.062, 0.062)
Na (0.438, 0.938, 0.562)
Na (0.562, 0.438, 0.938)
Na (0.938, 0.562, 0.438)
Sr (0.189, 0.811, 0.311)
Sr (0.311, 0.189, 0.811)
Sr (0.689, 0.689, 0.689)
Sr (0.811, 0.311, 0.189)
P (0.193, 0.693, 0.807)
P (0.307, 0.307, 0.307)
P (0.693, 0.807, 0.193)
P (0.807, 0.193, 0.693)
H (0.018, 0.269, 0.829)
H (0.020, 0.065, 0.299)
H (0.036, 0.780, 0.045)
H (0.045, 0.036, 0.780)
H (0.056, 0.347, 0.362)
H (0.065, 0.299, 0.020)
H (0.098, 0.391, 0.852)
H (0.100, 0.316, 0.162)
H (0.109, 0.148, 0.598)
H (0.138, 0.944, 0.847)
H (0.148, 0.598, 0.109)
H (0.153, 0.638, 0.556)
H (0.162, 0.100, 0.316)
H (0.171, 0.518, 0.231)
H (0.184, 0.838, 0.600)
H (0.201, 0.980, 0.565)
H (0.220, 0.545, 0.464)
H (0.231, 0.171, 0.518)
H (0.269, 0.829, 0.018)
H (0.280, 0.455, 0.964)
H (0.299, 0.020, 0.065)
H (0.316, 0.162, 0.100)
H (0.329, 0.482, 0.731)
H (0.338, 0.900, 0.816)
H (0.347, 0.362, 0.056)
H (0.352, 0.402, 0.609)
H (0.362, 0.056, 0.347)
H (0.391, 0.852, 0.098)
H (0.400, 0.684, 0.662)
H (0.402, 0.609, 0.352)
H (0.435, 0.701, 0.520)
H (0.444, 0.653, 0.862)
H (0.455, 0.964, 0.280)
H (0.464, 0.220, 0.545)
H (0.480, 0.935, 0.799)
H (0.482, 0.731, 0.329)
H (0.518, 0.231, 0.171)
H (0.520, 0.435, 0.701)
H (0.536, 0.720, 0.955)
H (0.545, 0.464, 0.220)
H (0.556, 0.153, 0.638)
H (0.565, 0.201, 0.980)
H (0.598, 0.109, 0.148)
H (0.600, 0.184, 0.838)
H (0.609, 0.352, 0.402)
H (0.638, 0.556, 0.153)
H (0.648, 0.902, 0.891)
H (0.653, 0.862, 0.444)
H (0.662, 0.400, 0.684)
H (0.671, 0.982, 0.769)
H (0.684, 0.662, 0.400)
H (0.701, 0.520, 0.435)
H (0.720, 0.955, 0.536)
H (0.731, 0.329, 0.482)
H (0.769, 0.671, 0.982)
H (0.780, 0.045, 0.036)
H (0.799, 0.480, 0.935)
H (0.816, 0.338, 0.900)
H (0.829, 0.018, 0.269)
H (0.838, 0.600, 0.184)
H (0.847, 0.138, 0.944)
H (0.852, 0.098, 0.391)
H (0.862, 0.444, 0.653)
H (0.891, 0.648, 0.902)
H (0.900, 0.816, 0.338)
H (0.902, 0.891, 0.648)
H (0.935, 0.799, 0.480)
H (0.944, 0.847, 0.138)
H (0.955, 0.536, 0.720)
H (0.964, 0.280, 0.455)
H (0.980, 0.565, 0.201)
H (0.982, 0.769, 0.671)
S (0.084, 0.584, 0.916)
S (0.416, 0.416, 0.416)
S (0.584, 0.916, 0.084)
S (0.916, 0.084, 0.584)
O (0.031, 0.844, 0.108)
O (0.037, 0.281, 0.105)
O (0.101, 0.300, 0.856)
O (0.105, 0.037, 0.281)
O (0.108, 0.031, 0.844)
O (0.124, 0.720, 0.685)
O (0.144, 0.601, 0.200)
O (0.156, 0.608, 0.469)
O (0.185, 0.376, 0.280)
O (0.200, 0.144, 0.601)
O (0.219, 0.895, 0.537)
O (0.220, 0.815, 0.876)
O (0.280, 0.185, 0.376)
O (0.281, 0.105, 0.037)
O (0.300, 0.856, 0.101)
O (0.315, 0.624, 0.780)
O (0.344, 0.392, 0.969)
O (0.356, 0.399, 0.700)
O (0.376, 0.280, 0.185)
O (0.392, 0.969, 0.344)
O (0.395, 0.963, 0.781)
O (0.399, 0.700, 0.356)
O (0.463, 0.719, 0.605)
O (0.469, 0.156, 0.608)
O (0.531, 0.656, 0.892)
O (0.537, 0.219, 0.895)
O (0.601, 0.200, 0.144)
O (0.605, 0.463, 0.719)
O (0.608, 0.469, 0.156)
O (0.624, 0.780, 0.315)
O (0.644, 0.899, 0.800)
O (0.656, 0.892, 0.531)
O (0.685, 0.124, 0.720)
O (0.700, 0.356, 0.399)
O (0.719, 0.605, 0.463)
O (0.720, 0.685, 0.124)
O (0.780, 0.315, 0.624)
O (0.781, 0.395, 0.963)
O (0.800, 0.644, 0.899)
O (0.815, 0.876, 0.220)
O (0.844, 0.108, 0.031)
O (0.856, 0.101, 0.300)
O (0.876, 0.220, 0.815)
O (0.892, 0.531, 0.656)
O (0.895, 0.537, 0.219)
O (0.899, 0.800, 0.644)
O (0.963, 0.781, 0.395)
O (0.969, 0.344, 0.392)

Calculated values
Energy of formation: -46.0 eV per formula unit

---

Entry 11:
First-principles (r²SCAN) data for CuPd after structural relaxation, as listed in Materials Project.

abc: 4.500 4.500 4.500
angles: 35.04 35.04 35.04
Fractional positions:
Cu (0.000, 0.000, 0.000)
Pd (0.500, 0.500, 0.500)

Calculated values
Energy of formation: -0.2 eV per formula unit

---

Entry 12:
First-principles (r²SCAN) data for Ce4Bi3 after structural relaxation, as listed in Materials Project.

abc: 8.488 8.488 8.488
angles: 109.47 109.47 109.47
Fractional positions:
Ce (0.000, 0.355, 0.500)
Ce (0.000, 0.855, 0.500)
Ce (0.145, 0.145, 0.145)
Ce (0.355, 0.500, 0.000)
Ce (0.500, 0.000, 0.355)
Ce (0.500, 0.000, 0.855)
Ce (0.645, 0.645, 0.645)
Ce (0.855, 0.500, 0.000)
Bi (0.125, 0.750, 0.875)
Bi (0.250, 0.625, 0.375)
Bi (0.375, 0.250, 0.625)
Bi (0.625, 0.375, 0.250)
Bi (0.750, 0.875, 0.125)
Bi (0.875, 0.125, 0.750)

Calculated values
Energy of formation: -7.2 eV per formula unit

---

Entry 13:
First-principles (r²SCAN) data for YbReO3 after structural relaxation, as listed in Materials Project.

abc: 3.928 3.928 3.928
angles: 90.00 90.00 90.00
Fractional positions:
Yb (0.000, 0.000, 0.000)
Re (0.500, 0.500, 0.500)
O (0.000, 0.500, 0.500)
O (0.500, 0.000, 0.500)
O (0.500, 0.500, 0.000)

Calculated values
Energy of formation: -8.6 eV per formula unit

---

Entry 14:
First-principles (r²SCAN) data for Ca2Sn3O8 after structural relaxation, as listed in Materials Project.

abc: 6.524 6.524 5.344
angles: 107.97 107.97 58.36
Fractional positions:
Ca (0.220, 0.220, 0.155)
Ca (0.780, 0.780, 0.845)
Sn (0.238, 0.762, 0.500)
Sn (0.500, 0.500, 0.000)
Sn (0.762, 0.238, 0.500)
O (0.109, 0.109, 0.444)
O (0.171, 0.612, 0.102)
O (0.388, 0.829, 0.898)
O (0.399, 0.399, 0.586)
O (0.601, 0.601, 0.414)
O (0.612, 0.171, 0.102)
O (0.829, 0.388, 0.898)
O (0.891, 0.891, 0.556)

Calculated values
Energy of formation: -30.5 eV per formula unit

---

Entry 15:
First-principles (r²SCAN) data for UGa5Ru after structural relaxation, as listed in Materials Project.

abc: 4.350 4.350 6.705
angles: 90.00 90.00 90.00
Fractional positions:
U (0.000, 0.000, 0.000)
Ga (0.000, 0.500, 0.305)
Ga (0.000, 0.500, 0.695)
Ga (0.500, 0.000, 0.305)
Ga (0.500, 0.000, 0.695)
Ga (0.500, 0.500, 0.000)
Ru (0.000, 0.000, 0.500)

Calculated values
Energy of formation: -3.0 eV per formula unit

---

Entry 16:
First-principles (r²SCAN) data for Pm2AgHg after structural relaxation, as listed in Materials Project.

abc: 5.302 5.302 5.302
angles: 60.00 60.00 60.00
Fractional positions:
Pm (0.250, 0.250, 0.250)
Pm (0.750, 0.750, 0.750)
Ag (0.000, 0.000, 0.000)
Hg (0.500, 0.500, 0.500)

Calculated values
Energy of formation: -1.7 eV per formula unit